A plane-wave DFT calculation with PBE with a Hubbard U was carried out for a geometry-optimized Sr3LaTa2Co2O12 structure.

Computed properties:
Spin magnetization (Bohr magnetons per cell): 4.02
Formation enthalpy at 0 K (eV/atom): -2.946
E above lowest polymorph (meV per atom): 45.0

abc: 5.711 5.716 15.946
angles: 90.01 90.03 90.02
Space group P1 (No. 1)
One atom of each set of equivalent atoms:
Sr: 0.000 0.000 0.000 x1
Sr: 0.000 0.003 0.246 x1
Sr: 0.001 0.005 0.750 x1
Sr: 0.499 0.503 0.244 x1
Sr: 0.499 0.504 0.499 x1
Sr: 0.500 0.500 0.752 x1
La: 0.000 0.019 0.498 x1
La: 0.496 0.493 0.001 x1
Ta: 0.000 0.502 0.123 x1
Ta: 0.500 0.001 0.371 x1
Ta: 0.500 0.001 0.624 x1
Ta: 0.500 0.999 0.878 x1
Co: 0.000 0.500 0.870 x1
Co: 0.000 0.504 0.627 x1
Co: 0.500 0.001 0.124 x1
Co: 0.999 0.504 0.378 x1
O: 0.005 0.487 0.498 x1
O: 0.017 0.495 0.000 x1
O: 0.244 0.237 0.377 x1
O: 0.244 0.748 0.123 x1
O: 0.246 0.237 0.621 x1
O: 0.252 0.241 0.870 x1
O: 0.254 0.267 0.125 x1
O: 0.254 0.756 0.379 x1
O: 0.257 0.755 0.620 x1
O: 0.267 0.743 0.874 x1
O: 0.489 0.013 0.999 x1
O: 0.491 0.005 0.499 x1
O: 0.508 0.996 0.251 x1
O: 0.508 0.998 0.748 x1
O: 0.734 0.257 0.876 x1
O: 0.744 0.247 0.380 x1
O: 0.744 0.247 0.618 x1
O: 0.745 0.736 0.116 x1
O: 0.748 0.758 0.878 x1
O: 0.755 0.258 0.120 x1
O: 0.755 0.767 0.616 x1
O: 0.756 0.767 0.383 x1
O: 0.992 0.507 0.253 x1
O: 0.993 0.503 0.741 x1